No. 1
A plane-wave DFT calculation with PBE was carried out for a geometry-optimized Na3Ti3AlP6O24 structure.

The structure in POSCAR format:
```
Na3Ti3AlP6O24
1.0
-0.8728 -1.0790 -8.4891
-6.8667 -0.4753 5.1548
-3.3047 21.6914 -2.4447
O Ti P Na Al
72 9 18 9 3
direct
0.4757 0.1716 0.2425 O
0.0285 0.8415 0.4080 O
0.4943 0.3627 0.1434 O
0.1611 0.1886 0.4085 O
0.8352 0.0292 0.0905 O
0.9719 0.8066 0.0899 O
0.8087 0.8359 0.9098 O
0.1345 0.4957 0.8602 O
0.3066 0.8331 0.2571 O
0.1677 0.6910 0.7555 O
0.4968 0.6369 0.5772 O
0.1324 0.6342 0.3609 O
0.3614 0.8658 0.8601 O
0.8292 0.0337 0.8060 O
0.5020 0.1418 0.9224 O
0.1410 0.5021 0.5770 O
0.3142 0.4772 0.7555 O
0.4985 0.8602 0.0773 O
0.3616 0.8593 0.5774 O
0.8412 0.3040 0.5250 O
0.6392 0.4977 0.9224 O
0.6476 0.1436 0.4224 O
0.4681 0.1629 0.5275 O
0.6355 0.1352 0.1412 O
0.3629 0.5023 0.0778 O
0.9668 0.1740 0.3098 O
0.1659 0.4728 0.2572 O
0.8141 0.9773 0.4090 O
0.8282 0.5228 0.7416 O
0.6886 0.5199 0.2431 O
0.6961 0.1639 0.0272 O
0.1622 0.4660 0.9737 O
0.8582 0.3601 0.9222 O
0.8601 0.5009 0.4230 O
0.4699 0.3052 0.0286 O
0.6947 0.1745 0.7419 O
0.5243 0.6878 0.2566 O
0.8004 0.8288 0.1938 O
0.8348 0.8069 0.5899 O
0.5265 0.8339 0.7560 O
0.5092 0.6383 0.8577 O
0.2027 0.1702 0.8058 O
0.8646 0.5011 0.1412 O
0.3032 0.8371 0.9735 O
0.9713 0.1652 0.5903 O
0.1403 0.6383 0.0774 O
0.0328 0.1991 0.1962 O
0.1716 0.1997 0.6931 O
0.4810 0.3112 0.7423 O
0.1702 0.9690 0.1934 O
0.5315 0.6955 0.9722 O
0.6943 0.5294 0.5289 O
0.5359 0.8370 0.4729 O
0.1925 0.1652 0.0903 O
0.0276 0.1917 0.9100 O
0.1626 0.7006 0.4730 O
0.7981 0.9670 0.6939 O
0.5044 0.8653 0.3602 O
0.6368 0.5060 0.6433 O
0.3636 0.4896 0.3575 O
0.1637 0.9716 0.9094 O
0.2973 0.4631 0.4708 O
0.1933 0.0280 0.5897 O
0.8321 0.7991 0.3071 O
0.4984 0.1351 0.6413 O
0.2033 0.0392 0.3059 O
0.8632 0.3639 0.6397 O
0.5012 0.3575 0.4228 O
0.9628 0.7942 0.8049 O
0.8263 0.3048 0.2429 O
0.0301 0.8286 0.6927 O
0.8374 0.5325 0.0271 O
0.0018 0.0023 0.6445 Ti
0.3342 0.6669 0.0232 Ti
0.3275 0.6679 0.8139 Ti
0.6604 0.3339 0.4811 Ti
0.6669 0.3340 0.9811 Ti
0.3330 0.6681 0.5215 Ti
0.3346 0.6734 0.3111 Ti
0.9999 0.0018 0.8541 Ti
0.9978 0.9970 0.1454 Ti
0.3825 0.0479 0.5857 P
0.9986 0.7083 0.7484 P
0.0448 0.3785 0.9176 P
0.7182 0.7113 0.2509 P
0.3827 0.3336 0.0861 P
0.3320 0.3744 0.4149 P
0.6649 0.6177 0.5861 P
0.3327 0.9547 0.9175 P
0.9506 0.3340 0.5845 P
0.2921 0.2867 0.7490 P
0.6670 0.0506 0.0854 P
0.2881 0.0029 0.2503 P
0.9900 0.2827 0.2515 P
0.9509 0.6169 0.0854 P
0.7131 0.0087 0.7491 P
0.6207 0.6658 0.9163 P
0.0465 0.6758 0.4161 P
0.6256 0.9533 0.4162 P
0.3639 0.3637 0.2480 Na
0.0009 0.9907 0.4996 Na
0.6675 0.3338 0.3307 Na
0.6362 0.6358 0.7490 Na
0.9998 0.9997 0.0010 Na
0.3321 0.6759 0.1650 Na
0.3239 0.6672 0.6654 Na
0.6674 0.3240 0.8340 Na
0.9698 0.3023 0.4153 Na
0.9997 0.9952 0.3516 Al
0.6680 0.3292 0.6864 Al
0.6718 0.3324 0.1868 Al
```

magnetization: 0.0 μB per formula unit
DFT formation energy: -2.980 eV/atom
volume: 12.71 Å³ per atom

No. 2
A plane-wave DFT calculation with PBE was carried out for a geometry-optimized Re3N structure.

The structure in POSCAR format:
```
Re3N
1.0
1.4187 -2.4572 0.0000
1.4187 2.4572 0.0000
0.0000 0.0000 7.1969
Re N
3 1
direct
0.3333 0.6667 0.1985 Re
0.6667 0.3333 0.5000 Re
0.3333 0.6667 0.8015 Re
0.6667 0.3333 0.0000 N
```

DFT formation energy: -0.122 eV/atom
volume: 12.54 Å³ per atom

No. 3
A plane-wave DFT calculation with PBE was carried out for a geometry-optimized Fe3NiP4 structure.

The structure in POSCAR format:
```
Fe3NiP4
1.0
-0.0240 -3.1781 -0.6703
3.9430 -0.6768 3.0680
-3.4854 -0.8901 4.3450
P Ni Fe
4 1 3
direct
0.5000 0.1852 0.5815 P
0.5000 0.7000 0.9130 P
0.0000 0.8202 0.4268 P
0.0000 0.2986 0.0734 P
0.5000 0.5015 0.3014 Ni
0.0000 0.9967 0.8000 Fe
0.0000 0.4978 0.7034 Fe
0.5000 0.0000 0.2006 Fe
```

DFT formation energy: -0.567 eV/atom
volume: 11.55 Å³ per atom

Question: Number 2 is which compound?
Answer: Re3N

Question: What is the formula in the third record?
Answer: Fe3NiP4

Question: DFT formation energy of number 2 (Re3N)?
Answer: -0.122 eV/atom